Entry 1:
A geometry-optimized MgMnPb2WO6 structure, computed with PBE+U.

Values from the calculation:
**Crystal system**: monoclinic
**Total energy**: -70.21 eV for the cell shown
**Space group**: No. 8
**Magnetic moment**: 7.00 μB per formula unit
**Polymorph energy (0 for the lowest one)**: 0.0 meV per atom
**Calculated formation energy**: -1.78 eV per atom

abc: 6.0688 6.0688 6.3356
angles: 116.87 116.87 59.78
Sites, in units of the cell vectors:
Mg1 0.0000 0.0000 0.0000
Mn1 0.8003 0.8003 0.4202
Pb1 0.2231 0.2231 0.6780
Pb2 0.5909 0.5909 0.8496
W1 0.4198 0.4198 0.2629
O1 0.1890 0.1890 0.0216
O2 0.1984 0.6430 0.5209
O3 0.2028 0.6387 0.0078
O4 0.6387 0.2028 0.0078
O5 0.6430 0.1984 0.5209
O6 0.6476 0.6476 0.5140

---

Entry 2:
A geometry-optimized Ba2Ca3Tl2Ni4O12 structure, computed with PBE+U.

Values from the calculation:
**Crystal system**: tetragonal
**Total energy**: -121.46 eV for the cell shown
**Space group**: No. 139
**Magnetic moment**: 0.00 μB per formula unit
**Calculated formation energy**: -1.86 eV per atom

abc: 21.9535 21.9535 21.9535
angles: 170.02 170.02 14.14
Sites, in units of the cell vectors:
Ba1 0.1567 0.1567 0.0000
Ba2 0.8433 0.8433 0.0000
Ca1 0.0000 0.0000 0.0000
Ca2 0.0743 0.0743 0.0000
Ca3 0.9257 0.9257 0.0000
Tl1 0.2766 0.2766 0.0000
Tl2 0.7234 0.7234 0.0000
Ni1 0.3902 0.3902 0.0000
Ni2 0.4627 0.4627 0.0000
Ni3 0.5373 0.5373 0.0000
Ni4 0.6098 0.6098 0.0000
O1 0.0371 0.5371 0.5000
O2 0.1101 0.6101 0.5000
O3 0.2285 0.2285 0.0000
O4 0.3236 0.3236 0.0000
O5 0.3899 0.8899 0.5000
O6 0.4629 0.9629 0.5000
O7 0.5371 0.0371 0.5000
O8 0.6101 0.1101 0.5000
O9 0.6764 0.6764 0.0000
O10 0.7715 0.7715 0.0000
O11 0.8899 0.3899 0.5000
O12 0.9629 0.4629 0.5000

---

Entry 3:
A geometry-optimized Li3V5O12 structure, computed with PBE+U.

Values from the calculation:
**Crystal system**: triclinic
**Total energy**: -142.18 eV for the cell shown
**Space group**: No. 1
**Magnetic moment**: 4.00 μB per formula unit
**Polymorph energy (0 for the lowest one)**: 39.8 meV per atom
**Calculated formation energy**: -2.42 eV per atom

abc: 5.0386 5.3610 7.4045
angles: 95.54 90.47 90.57
Sites, in units of the cell vectors:
Li1 0.0000 0.0000 0.0000
Li2 0.0066 0.0002 0.5000
Li3 0.5069 0.5017 0.5030
V1 0.0129 0.4339 0.2985
V2 0.4989 0.9276 0.7700
V3 0.5032 0.5221 0.0010
V4 0.5078 0.9403 0.2844
V5 0.9932 0.4179 0.7870
O1 0.1385 0.3897 0.0443
O2 0.1950 0.7030 0.3689
O3 0.1969 0.0761 0.7409
O4 0.3145 0.1976 0.3654
O5 0.3317 0.5916 0.7559
O6 0.3733 0.8868 0.0617
O7 0.6276 0.8936 0.5518
O8 0.6755 0.5778 0.2401
O9 0.6835 0.2068 0.8756
O10 0.7915 0.7080 0.8782
O11 0.8119 0.0836 0.2471
O12 0.8879 0.3911 0.5564

---

Entry 4:
A geometry-optimized Na2CoP2O7 structure, computed with PBE+U.

Values from the calculation:
**Crystal system**: triclinic
**Total energy**: -312.68 eV for the cell shown
**Space group**: No. 2
**Magnetic moment**: 0.00 μB per formula unit
**Polymorph energy (0 for the lowest one)**: 21.9 meV per atom
**Calculated formation energy**: -2.45 eV per atom

abc: 6.5411 9.4911 10.6167
angles: 106.21 105.02 101.67
Sites, in units of the cell vectors:
Na1 0.0832 0.2239 0.1857
Na2 0.0841 0.2238 0.6862
Na3 0.2421 0.4689 0.0530
Na4 0.2436 0.4694 0.5535
Na5 0.7564 0.5306 0.4465
Na6 0.7579 0.5311 0.9470
Na7 0.9159 0.7762 0.3138
Na8 0.9168 0.7761 0.8143
Co1 0.2668 0.8686 0.6378
Co2 0.2675 0.8683 0.1382
Co3 0.7325 0.1317 0.8618
Co4 0.7332 0.1314 0.3622
P1 0.2711 0.1090 0.4321
P2 0.2712 0.1095 0.9323
P3 0.3055 0.6395 0.8559
P4 0.3065 0.6398 0.3559
P5 0.6935 0.3602 0.6441
P6 0.6945 0.3605 0.1441
P7 0.7288 0.8905 0.0677
P8 0.7289 0.8910 0.5679
O1 0.0661 0.1578 0.3774
O2 0.0661 0.1586 0.8782
O3 0.1761 0.6723 0.9585
O4 0.1774 0.6722 0.4587
O5 0.2275 0.9854 0.4943
O6 0.2282 0.9861 0.9948
O7 0.2391 0.6980 0.2356
O8 0.2388 0.6977 0.7356
O9 0.3063 0.4728 0.8126
O10 0.3078 0.4733 0.3122
O11 0.3850 0.0746 0.8208
O12 0.3862 0.0744 0.3213
O13 0.4294 0.2682 0.5565
O14 0.4304 0.2688 0.0562
O15 0.5696 0.7312 0.9438
O16 0.5706 0.7318 0.4435
O17 0.6138 0.9256 0.6787
O18 0.6150 0.9254 0.1792
O19 0.6922 0.5267 0.6878
O20 0.6937 0.5272 0.1874
O21 0.7612 0.3023 0.2644
O22 0.7609 0.3020 0.7644
O23 0.7718 0.0139 0.0052
O24 0.7725 0.0146 0.5057
O25 0.8226 0.3278 0.5413
O26 0.8239 0.3277 0.0415
O27 0.9339 0.8414 0.1218
O28 0.9339 0.8422 0.6226

---

Entry 5:
A geometry-optimized Li9Mn2Co5O16 structure, computed with PBE+U.

Values from the calculation:
**Crystal system**: triclinic
**Total energy**: -185.47 eV for the cell shown
**Space group**: No. 1
**Magnetic moment**: 10.00 μB per formula unit
**Polymorph energy (0 for the lowest one)**: 58.7 meV per atom
**Calculated formation energy**: -1.81 eV per atom

abc: 2.9473 10.1871 10.2391
angles: 108.72 91.37 92.60
Sites, in units of the cell vectors:
Li1 0.0000 0.0000 0.0000
Li2 0.0015 0.9970 0.4979
Li3 0.0059 0.4977 0.9861
Li4 0.0116 0.4920 0.4989
Li5 0.4904 0.5007 0.7556
Li6 0.4936 0.2454 0.5007
Li7 0.4989 0.7489 0.4978
Li8 0.5049 0.2460 0.9918
Li9 0.5169 0.7368 0.9898
Mn1 0.0031 0.2467 0.2472
Mn2 0.0105 0.7414 0.7471
Co1 0.0043 0.7460 0.2455
Co2 0.5024 0.4977 0.2493
Co3 0.5057 0.9944 0.2431
Co4 0.5138 0.9971 0.7432
Co5 0.9986 0.2541 0.7444
O1 0.9996 0.6360 0.8631
O2 0.0043 0.3521 0.6330
O3 0.0142 0.3764 0.1351
O4 0.0155 0.8790 0.1318
O5 0.0447 0.8733 0.6345
O6 0.4651 0.3693 0.3690
O7 0.4683 0.3588 0.8622
O8 0.4877 0.6376 0.6369
O9 0.4942 0.8645 0.3609
O10 0.5143 0.6276 0.1316
O11 0.5220 0.1217 0.6346
O12 0.5331 0.8652 0.8507
O13 0.5405 0.1235 0.1248
O14 0.9759 0.1218 0.8523
O15 0.9892 0.6150 0.3621
O16 0.9925 0.1158 0.3585

---

Copy entry 4 word for word.
A geometry-optimized Na2CoP2O7 structure, computed with PBE+U.

Values from the calculation:
**Crystal system**: triclinic
**Total energy**: -312.68 eV for the cell shown
**Space group**: No. 2
**Magnetic moment**: 0.00 μB per formula unit
**Polymorph energy (0 for the lowest one)**: 21.9 meV per atom
**Calculated formation energy**: -2.45 eV per atom

abc: 6.5411 9.4911 10.6167
angles: 106.21 105.02 101.67
Sites, in units of the cell vectors:
Na1 0.0832 0.2239 0.1857
Na2 0.0841 0.2238 0.6862
Na3 0.2421 0.4689 0.0530
Na4 0.2436 0.4694 0.5535
Na5 0.7564 0.5306 0.4465
Na6 0.7579 0.5311 0.9470
Na7 0.9159 0.7762 0.3138
Na8 0.9168 0.7761 0.8143
Co1 0.2668 0.8686 0.6378
Co2 0.2675 0.8683 0.1382
Co3 0.7325 0.1317 0.8618
Co4 0.7332 0.1314 0.3622
P1 0.2711 0.1090 0.4321
P2 0.2712 0.1095 0.9323
P3 0.3055 0.6395 0.8559
P4 0.3065 0.6398 0.3559
P5 0.6935 0.3602 0.6441
P6 0.6945 0.3605 0.1441
P7 0.7288 0.8905 0.0677
P8 0.7289 0.8910 0.5679
O1 0.0661 0.1578 0.3774
O2 0.0661 0.1586 0.8782
O3 0.1761 0.6723 0.9585
O4 0.1774 0.6722 0.4587
O5 0.2275 0.9854 0.4943
O6 0.2282 0.9861 0.9948
O7 0.2391 0.6980 0.2356
O8 0.2388 0.6977 0.7356
O9 0.3063 0.4728 0.8126
O10 0.3078 0.4733 0.3122
O11 0.3850 0.0746 0.8208
O12 0.3862 0.0744 0.3213
O13 0.4294 0.2682 0.5565
O14 0.4304 0.2688 0.0562
O15 0.5696 0.7312 0.9438
O16 0.5706 0.7318 0.4435
O17 0.6138 0.9256 0.6787
O18 0.6150 0.9254 0.1792
O19 0.6922 0.5267 0.6878
O20 0.6937 0.5272 0.1874
O21 0.7612 0.3023 0.2644
O22 0.7609 0.3020 0.7644
O23 0.7718 0.0139 0.0052
O24 0.7725 0.0146 0.5057
O25 0.8226 0.3278 0.5413
O26 0.8239 0.3277 0.0415
O27 0.9339 0.8414 0.1218
O28 0.9339 0.8422 0.6226

---

Among the records above, which one has the lowest total energy?
Na2CoP2O7

---

What is the formula in the fifth record?
Li9Mn2Co5O16